Record 1
This record from the Materials Project describes a relaxed structure of DyBeNF6. The functional is PBE.

a = 6.6303 Å, b = 5.8645 Å, c = 7.4986 Å
α = 90.00°, β = 113.83°, γ = 90.00°
Closest atoms and distances in Å follow each position.
Space group P2_1/m (No. 11)
Asymmetric unit:
Dy  0.1249  0.2500  0.2195 x2  6 F 2.16-2.39
Be  0.2822  0.7500  0.5490 x2  4 F 1.56-1.57
N  0.2826  0.2500  0.8459 x2  2 F 1.85
F  0.1038  0.7500  0.6345 x2  1 Be 1.56
F  0.1474  0.0475  0.9511 x4  1 N 1.85
F  0.2510  0.5363  0.4151 x4  1 Be 1.57
F  0.4837  0.2500  0.2820 x2  1 Be 1.56

Its volume is 14.818 A^3/atom. The calculation puts the energy of formation from the pure elements at -2.65 eV/atom.


Record 2
This record from the Materials Project describes a relaxed structure of Ba6LiNb2IrCl2O12. The functional is PBE.

a = 6.0613 Å, b = 6.0613 Å, c = 15.0820 Å
α = 90.00°, β = 90.00°, γ = 120.00°
Closest atoms and distances in Å follow each position.
Space group P-3m1 (No. 164)
Asymmetric unit:
Ba  0.3333  0.6667  0.0677 x2  12 O 2.96-3.21
Ba  0.3333  0.6667  0.3568 x2  3 O 2.49
Ba  0.3333  0.6667  0.7944 x2  3 O 2.63
Li  0.0000  0.0000  0.5000 x1  6 Cl 3.66
Nb  0.0000  0.0000  0.1833 x2  3 O 1.91
Ir  0.0000  0.0000  0.0000 x1  6 O 2.06
Cl  0.3333  0.6667  0.5718 x2  2 Ba 3.24-3.36
O  0.1547  0.3094  0.9163 x6  1 Ir 2.06, 1 Nb 2.21
O  0.1605  0.3209  0.2433 x6  1 Nb 1.91

Its volume is 19.995 A^3/atom. As for the polymorph energy (0 for the lowest one): 0.099 eV per atom. The calculation puts the energy of formation from the pure elements at -2.69 eV/atom.


Record 3
This record from the Materials Project describes a relaxed structure of CdGePO7. The functional is PBE.

a = 7.1475 Å, b = 10.9951 Å, c = 13.4394 Å
α = 90.00°, β = 90.00°, γ = 90.00°
Closest atoms and distances in Å follow each position.
Space group Cmce (No. 64)
Asymmetric unit:
Cd  0.2500  0.0986  0.2500 x8  6 O 2.29-2.36
Ge  0.2500  0.2500  0.0000 x8  6 O 1.86-1.94
P  0.0000  0.1503  0.6778 x8  4 O 1.54-1.56
O  0.0000  0.0304  0.7370 x8  1 P 1.54
O  0.0000  0.2342  0.2441 x8  1 P 1.55
O  0.0000  0.2376  0.9556 x8  2 Ge 1.89
O  0.1816  0.1506  0.6134 x16  1 P 1.56
O  0.2054  0.1112  0.0760 x16  1 Ge 1.86

Its volume is 13.202 A^3/atom. The calculation puts the energy of formation from the pure elements at -1.61 eV/atom.


Record 4
This record from the Materials Project describes a relaxed structure of SmDyNi2. The functional is PBE.

a = 4.1950 Å, b = 3.7559 Å, c = 10.2448 Å
α = 90.00°, β = 90.00°, γ = 90.00°
Closest atoms and distances in Å follow each position.
Space group Amm2 (No. 38)
Asymmetric unit:
Sm  0.0000  0.0000  0.0000 x2  7 Ni 2.88-2.94
Dy  0.5000  0.0000  0.2771 x2  7 Ni 2.85-2.98
Ni  0.0000  0.0000  0.7133 x2  2 Ni 2.57, 2 Sm 2.88
Ni  0.5000  0.0000  0.5677 x2  2 Ni 2.57, 2 Dy 2.85

Its volume is 20.177 A^3/atom. The calculation puts the energy of formation from the pure elements at -0.40 eV/atom.


Record 5
This record from the Materials Project describes a relaxed structure of BaZnSe2O6. The functional is PBE.

a = 5.9399 Å, b = 13.7292 Å, c = 8.7655 Å
α = 90.00°, β = 95.94°, γ = 90.00°
Closest atoms and distances in Å follow each position.
Space group P2_1/c (No. 14)
Asymmetric unit:
Ba  0.2243  0.2027  0.2676 x4  7 O 2.66-2.98
Zn  0.3290  0.6360  0.5419 x4  4 O 1.96-2.08
Se  0.2340  0.6434  0.9108 x4  3 O 1.71-1.76
Se  0.2737  0.0094  0.7539 x4  3 O 1.69-1.75
O  0.0018  0.1922  0.5220 x4  1 Se 1.71
O  0.1472  0.5741  0.3700 x4  1 Se 1.75, 1 Zn 1.96
O  0.1602  0.6685  0.7174 x4  1 Se 1.74
O  0.3524  0.1081  0.8747 x4  1 Se 1.75
O  0.4431  0.7318  0.9629 x4  1 Se 1.76
O  0.4723  0.0411  0.2681 x4  1 Se 1.69

Its volume is 17.775 A^3/atom. As for the polymorph energy (0 for the lowest one): 0.011 eV per atom. The calculation puts the energy of formation from the pure elements at -1.91 eV/atom.


Record 6
This record from the Materials Project describes a relaxed structure of SiSnGeS2O12. The functional is PBE.

a = 8.6057 Å, b = 8.6110 Å, c = 22.4210 Å
α = 90.12°, β = 90.15°, γ = 119.90°
Closest atoms and distances in Å follow each position.
Space group P1 (No. 1)
Asymmetric unit:
Si  0.0000  0.0000  0.0000 x1  4 O 1.64-1.65
Si  0.0013  0.2794  0.4987 x1  4 O 1.60-1.65
Si  0.3519  0.6572  0.6698 x1  4 O 1.61-1.65
Si  0.3560  0.9602  0.1635 x1  4 O 1.61-1.65
Si  0.3990  0.6351  0.3343 x1  4 O 1.61-1.65
Si  0.4007  0.0555  0.8351 x1  4 O 1.60-1.66
Sn  0.0615  0.6515  0.5625 x1  5 O 1.93-2.13
Sn  0.0716  0.6778  0.7745 x1  6 O 1.92-2.13
Sn  0.0733  0.6722  0.2697 x1  6 O 1.93-2.15
Sn  0.3786  0.3378  0.4386 x1  5 O 1.89-2.10
Sn  0.3905  0.3369  0.2287 x1  6 O 1.95-2.13
Sn  0.7203  0.9983  0.6057 x1  6 O 1.91-2.10
Ge  0.0640  0.6953  0.0604 x1  2 O 1.74-1.77
Ge  0.3693  0.3085  0.9408 x1  2 O 1.73-1.77
Ge  0.3933  0.3330  0.7322 x1  3 O 1.76-1.96
Ge  0.7197  0.9959  0.8967 x1  2 O 1.76-1.79
Ge  0.7213  0.0015  0.3960 x1  2 O 1.74-1.75
Ge  0.7250  0.0044  0.1022 x1  3 O 1.76-1.96
S  0.0483  0.3759  0.1626 x1  4 O 1.47-1.49
S  0.0610  0.9612  0.6682 x1  4 O 1.46-1.50
S  0.0894  0.0385  0.3346 x1  4 O 1.46-1.49
S  0.0992  0.3267  0.8359 x1  4 O 1.47-1.49
S  0.4302  0.7058  0.9995 x1  4 O 1.48-1.50
S  0.4319  0.0006  0.4984 x1  4 O 1.46-1.48
S  0.6712  0.6198  0.8364 x1  4 O 1.47-1.49
S  0.6821  0.3304  0.3349 x1  4 O 1.47-1.48
S  0.7249  0.2951  0.0008 x1  4 O 1.48-1.49
S  0.7261  0.7109  0.4998 x1  4 O 1.46-1.48
S  0.7596  0.3787  0.6698 x1  4 O 1.47-1.48
S  0.7705  0.6721  0.1642 x1  4 O 1.47-1.50
O  0.0085  0.4437  0.2186 x1  1 S 1.49
O  0.0117  0.4720  0.5011 x1  1 Si 1.62
O  0.0190  0.8208  0.0079 x1  1 Si 1.64, 1 Ge 1.77
O  0.0189  0.8437  0.7210 x1  1 S 1.48
O  0.0634  0.8577  0.3273 x1  1 S 1.47
O  0.0732  0.4827  0.8302 x1  1 S 1.47
O  0.0798  0.4915  0.1105 x1  1 S 1.47
O  0.0898  0.8806  0.6131 x1  1 S 1.50
O  0.1678  0.1503  0.2804 x1  1 S 1.49
O  0.1772  0.2957  0.7814 x1  1 S 1.48
O  0.1939  0.2930  0.4959 x1  1 Si 1.60
O  0.1984  0.1783  0.9925 x1  1 Si 1.64, 1 Ge 1.77
O  0.2086  0.1112  0.3870 x1  1 S 1.48
O  0.2100  0.3602  0.1701 x1  1 S 1.47
O  0.2176  0.3702  0.8894 x1  1 S 1.49
O  0.2179  0.6448  0.3300 x1  1 Si 1.61
O  0.2210  0.8647  0.1065 x1  1 Si 1.64, 1 Ge 1.74
O  0.2213  0.8645  0.8310 x1  1 Si 1.60
O  0.2234  0.1362  0.6764 x1  1 S 1.47
O  0.2307  0.6179  0.6098 x1  1 Si 1.63
O  0.2476  0.6813  0.0079 x1  1 S 1.49
O  0.2513  0.8468  0.5044 x1  1 S 1.46
O  0.2672  0.7020  0.7267 x1  1 Si 1.61
O  0.2770  0.8408  0.2228 x1  1 Si 1.61
O  0.3590  0.5100  0.3918 x1  1 Si 1.61
O  0.3627  0.1460  0.8935 x1  1 Si 1.64, 1 Ge 1.73
O  0.3671  0.4768  0.6826 x1  1 Si 1.65, 1 Ge 1.76
O  0.3717  0.1539  0.1729 x1  1 Si 1.62
O  0.4176  0.5280  0.9900 x1  1 S 1.50
O  0.4230  0.1666  0.4909 x1  1 S 1.48
O  0.4304  0.1796  0.7752 x1  1 Si 1.66, 1 Ge 1.79
O  0.4381  0.5496  0.2744 x1  1 Si 1.65
O  0.5047  0.8229  0.9463 x1  1 S 1.49
O  0.5106  0.9634  0.4455 x1  1 S 1.48
O  0.5372  0.0338  0.5537 x1  1 S 1.47
O  0.5437  0.7834  0.0533 x1  1 S 1.48
O  0.5447  0.8342  0.6609 x1  1 Si 1.61
O  0.5520  0.9766  0.1505 x1  1 Si 1.65, 1 Ge 1.76
O  0.5619  0.5457  0.7810 x1  1 S 1.49
O  0.5658  0.3189  0.9930 x1  1 S 1.49
O  0.5682  0.2927  0.2810 x1  1 S 1.48
O  0.5737  0.5286  0.4942 x1  1 S 1.46
O  0.5768  0.0316  0.8477 x1  1 Si 1.65, 1 Ge 1.79
O  0.5774  0.8328  0.3470 x1  1 Si 1.65, 1 Ge 1.74
O  0.5803  0.3595  0.6763 x1  1 S 1.47
O  0.5929  0.5096  0.8896 x1  1 S 1.47
O  0.5933  0.5112  0.1695 x1  1 S 1.47
O  0.6027  0.3621  0.3890 x1  1 S 1.48
O  0.6827  0.1775  0.0542 x1  1 S 1.49
O  0.6845  0.7811  0.5540 x1  1 S 1.48
O  0.6919  0.8013  0.8423 x1  1 S 1.49
O  0.7003  0.1701  0.3415 x1  1 S 1.47
O  0.7448  0.2021  0.6633 x1  1 S 1.47
O  0.7541  0.8211  0.4463 x1  1 S 1.47
O  0.7544  0.8329  0.1571 x1  1 S 1.47
O  0.7597  0.2164  0.9473 x1  1 S 1.48
O  0.8327  0.4898  0.6155 x1  1 S 1.48
O  0.8505  0.6354  0.8280 x1  1 S 1.49
O  0.8517  0.6328  0.1119 x1  1 S 1.49
O  0.8565  0.4940  0.3265 x1  1 S 1.47
O  0.8730  0.1824  0.4397 x1  1 Si 1.65, 1 Ge 1.75
O  0.8727  0.4590  0.7235 x1  1 S 1.48
O  0.8730  0.9662  0.9408 x1  1 Si 1.65, 1 Ge 1.76
O  0.8765  0.7017  0.2205 x1  1 S 1.50
O  0.8883  0.1951  0.1564 x1  1 S 1.48
O  0.8893  0.4722  0.0108 x1  1 S 1.49
O  0.8932  0.7044  0.5077 x1  1 S 1.48
O  0.9026  0.9813  0.6628 x1  1 S 1.46
O  0.9089  0.0335  0.0596 x1  1 Si 1.65, 1 Ge 1.76
O  0.9155  0.0278  0.3427 x1  1 S 1.46
O  0.9206  0.1639  0.5593 x1  1 Si 1.63
O  0.9218  0.1641  0.8433 x1  1 S 1.48

Its volume is 14.121 A^3/atom. The calculation puts the energy of formation from the pure elements at -2.03 eV/atom.


Record 7
This record from the Materials Project describes a relaxed structure of KTeOF3. The functional is PBE.

a = 10.3131 Å, b = 10.3131 Å, c = 8.0429 Å
α = 90.00°, β = 90.00°, γ = 90.00°
Closest atoms and distances in Å follow each position.
Space group P4_2/n (No. 86, origin choice 2)
Asymmetric unit:
K  0.0000  0.0000  0.0000 x4  6 F 2.72-2.88, 2 O 2.82
K  0.2500  0.2500  0.2500 x2  8 F 2.74-2.85
K  0.2500  0.2500  0.7500 x2  4 F 2.69
Te  0.0934  0.8831  0.4597 x8  2 O 1.93-2.09, 3 F 2.04-2.11
O  0.0038  0.4715  0.8485 x8  2 Te 1.93-2.09
F  0.0110  0.2638  0.1033 x8  1 Te 2.04
F  0.0654  0.2445  0.5133 x8  1 Te 2.11
F  0.1100  0.8116  0.2238 x8  1 Te 2.04

Its volume is 17.822 A^3/atom. As for the polymorph energy (0 for the lowest one): 0.000 eV per atom. The calculation puts the energy of formation from the pure elements at -2.50 eV/atom.


Record 8
This record from the Materials Project describes a relaxed structure of Cu3TePbO7. The functional is PBE.

a = 10.6665 Å, b = 6.4207 Å, c = 8.8978 Å
α = 90.00°, β = 90.00°, γ = 90.00°
Closest atoms and distances in Å follow each position.
Space group Pnma (No. 62)
Asymmetric unit:
Cu  0.1118  0.0091  0.1239 x8  4 O 1.95-2.06
Cu  0.2471  0.7500  0.9052 x4  4 O 1.89-2.09
Te  0.1147  0.2500  0.7976 x4  6 O 1.91-2.02
Pb  0.1072  0.7500  0.5454 x4  5 O 2.46-2.58
O  0.0124  0.0273  0.7103 x8  1 Te 1.96, 1 Cu 2.00
O  0.0188  0.7500  0.0451 x4  1 Te 2.00, 2 Cu 2.06
O  0.2025  0.2500  0.2016 x4  3 Cu 1.89-1.95
O  0.2094  0.0444  0.9272 x8  2 Cu 1.94-2.05, 1 Te 2.02
O  0.2353  0.2500  0.6392 x4  1 Te 1.91, 1 Cu 2.09

Its volume is 12.695 A^3/atom. The calculation puts the energy of formation from the pure elements at -1.21 eV/atom.